[1]
Computed, not measured: Li6V5O12 after structural relaxation at the PBE with a Hubbard U level of DFT.

Cell lengths 5.1855, 8.8055, 9.9260 Å; angles 98.41, 95.63, 90.16 degrees
Atoms (fractional coordinates):
1 Li 0.0190 0.8250 0.5143
2 Li 0.2476 0.7488 0.9803
3 Li 0.2269 0.4043 0.9866
4 Li 0.3752 0.8693 0.7436
5 Li 0.2699 0.0799 0.9904
6 Li 0.5078 0.3406 0.5131
7 Li 0.5094 0.9859 0.5208
8 Li 0.7409 0.5611 0.9815
9 Li 0.7424 0.9172 0.9861
10 Li 0.8782 0.3712 0.7560
11 Li 0.9813 0.5009 0.5086
12 Li 0.0076 0.1741 0.5203
13 V 0.1176 0.2921 0.2473
14 V 0.1241 0.6253 0.2493
15 V 0.1264 0.9538 0.2531
16 V 0.6248 0.1256 0.2510
17 V 0.6196 0.4575 0.2474
18 V 0.6244 0.7903 0.2519
19 V 0.3560 0.5408 0.7398
20 V 0.4026 0.2049 0.7620
21 V 0.8510 0.7009 0.7390
22 V 0.8969 0.0441 0.7605
23 O 0.0393 0.8978 0.8656
24 O 0.0938 0.2143 0.8653
25 O 0.0588 0.5732 0.8595
26 O 0.1935 0.0373 0.6411
27 O 0.1592 0.6764 0.6349
28 O 0.2131 0.3593 0.6353
29 O 0.3038 0.1411 0.3612
30 O 0.2955 0.4610 0.3575
31 O 0.3060 0.8211 0.3643
32 O 0.5299 0.3893 0.8582
33 O 0.4323 0.6071 0.1370
34 O 0.4299 0.9393 0.1383
35 O 0.4228 0.2700 0.1422
36 O 0.5552 0.7060 0.8583
37 O 0.5762 0.0620 0.8637
38 O 0.6761 0.5250 0.6371
39 O 0.6977 0.1699 0.6419
40 O 0.7230 0.8536 0.6422
41 O 0.8183 0.9759 0.3616
42 O 0.8128 0.3111 0.3629
43 O 0.8198 0.6419 0.3571
44 O 0.9397 0.4386 0.1375
45 O 0.9384 0.7812 0.1366
46 O 0.9551 0.1045 0.1461

Properties
ΔE to the lowest computed polymorph = 1 meV/atom



[2]
Computed, not measured: La2MgTiCoO6 after structural relaxation at the PBE with a Hubbard U level of DFT.

Cell lengths 8.0764, 5.5747, 6.5311 Å; angles 66.03, 44.54, 69.40 degrees
Atoms (fractional coordinates):
1 La 0.0281 0.8746 0.7624
2 La 0.9719 0.1254 0.2376
3 Mg 0.5000 0.5000 0.0000
4 Ti 0.0000 0.5000 0.5000
5 Co 0.5000 0.0000 0.0000
6 O 0.0318 0.2837 0.8166
7 O 0.2407 0.7308 0.2948
8 O 0.9682 0.7163 0.1834
9 O 0.7593 0.2692 0.7052
10 O 0.2482 0.2569 0.2325
11 O 0.7518 0.7431 0.7675



[3]
Computed, not measured: Li3Mn2Si2O8 after structural relaxation at the PBE with a Hubbard U level of DFT.

Cell lengths 6.2958, 5.1256, 11.1324 Å; angles 89.91, 90.00, 90.00 degrees
Atoms (fractional coordinates):
1 Li 0.2396 0.2361 0.8216
2 Li 0.7604 0.2361 0.3216
3 Li 0.7549 0.7426 0.6748
4 Li 0.5054 0.7428 0.9088
5 Li 0.4946 0.7428 0.4088
6 Li 0.2451 0.7426 0.1748
7 Mn 0.9976 0.7420 0.4214
8 Mn 0.0024 0.7420 0.9214
9 Mn 0.5023 0.2494 0.0853
10 Mn 0.4977 0.2494 0.5853
11 Si 0.2528 0.7423 0.6665
12 Si 0.7472 0.7423 0.1665
13 Si 0.7467 0.2297 0.8341
14 Si 0.2533 0.2297 0.3341
15 O 0.2919 0.3426 0.1963
16 O 0.2786 0.4200 0.6679
17 O 0.0315 0.3498 0.3835
18 O 0.0296 0.8120 0.5999
19 O 0.9704 0.8120 0.0999
20 O 0.9685 0.3498 0.8835
21 O 0.7214 0.4200 0.1679
22 O 0.7081 0.3426 0.6963
23 O 0.7445 0.8459 0.3077
24 O 0.7459 0.9104 0.8335
25 O 0.5322 0.8524 0.0918
26 O 0.5387 0.3341 0.9156
27 O 0.4613 0.3341 0.4156
28 O 0.4678 0.8524 0.5918
29 O 0.2541 0.9104 0.3335
30 O 0.2555 0.8459 0.8077

Properties
ΔE to the lowest computed polymorph = 8 meV/atom



Taking the records one at a time from the top gives calculated total energy values of -156.05; -81.58; -104.55 eV per formula unit.
Taking the records one at a time from the top gives calculated formation energy values of -2.459; -2.835; -2.593 eV per atom.